i:
! Nd5Mg, optimized geometry, DFT PBE; values from VASP
! Crystal system   trigonal
&SYSTEM
  ibrav = 0, nat = 6, ntyp = 2
/
ATOMIC_SPECIES
Nd 144.24 Nd.upf
Mg 24.30 Mg.upf
CELL_PARAMETERS angstrom
3.1841 1.8383 5.7547
-3.1841 1.8383 5.7547
0.0000 -3.6766 5.7547
ATOMIC_POSITIONS crystal
Nd 0.0000 0.6475 0.3525
Nd 0.1649 0.1649 0.1649
Nd 0.3525 0.0000 0.6475
Nd 0.6475 0.3525 0.0000
Nd 0.8351 0.8351 0.8351
Mg 0.5000 0.5000 0.5000


ii:
! Nd5Mg, optimized geometry, DFT PBE; values from VASP
! Total magnetic moment   0.00 μB/f.u.
! Crystal system   orthorhombic
&SYSTEM
  ibrav = 0, nat = 6, ntyp = 2
/
ATOMIC_SPECIES
Nd 144.24 Nd.upf
Mg 24.30 Mg.upf
CELL_PARAMETERS angstrom
5.8820 0.0000 0.0000
0.0000 1.8484 9.2650
0.0000 -1.8484 9.2650
ATOMIC_POSITIONS crystal
Nd 0.0000 0.0000 0.0000
Nd 0.0000 0.3248 0.3248
Nd 0.5000 0.2073 0.2073
Nd 0.5000 0.5480 0.5480
Nd 0.5000 0.8765 0.8765
Mg 0.0000 0.6598 0.6598


Stability order, top to bottom: i, ii


i:
! Rb2CrCl4, optimized geometry, DFT PBE; values from VASP
! Total magnetic moment   4.00 μB/f.u.
! Crystal system   tetragonal
&SYSTEM
  ibrav = 0, nat = 7, ntyp = 3
/
ATOMIC_SPECIES
Rb 85.47 Rb.upf
Cr 52.00 Cr.upf
Cl 35.45 Cl.upf
CELL_PARAMETERS angstrom
-2.5084 2.5084 7.4585
2.5084 -2.5084 7.4585
2.5084 2.5084 -7.4585
ATOMIC_POSITIONS crystal
Rb 0.2318 0.2318 0.0000
Rb 0.7682 0.7682 0.0000
Cr 0.5000 0.5000 0.0000
Cl 0.1046 0.6046 0.5000
Cl 0.3954 0.8954 0.5000
Cl 0.6046 0.1046 0.5000
Cl 0.8954 0.3954 0.5000


ii:
! Rb2CrCl4, optimized geometry, DFT PBE; values from VASP
! Total magnetic moment   4.00 μB/f.u.
! Crystal system   tetragonal
&SYSTEM
  ibrav = 0, nat = 7, ntyp = 3
/
ATOMIC_SPECIES
Rb 85.47 Rb.upf
Cr 52.00 Cr.upf
Cl 35.45 Cl.upf
CELL_PARAMETERS angstrom
-3.1992 3.1992 10.5442
3.1992 -3.1992 10.5442
3.1992 3.1992 -10.5442
ATOMIC_POSITIONS crystal
Rb 0.2267 0.2267 0.0000
Rb 0.7733 0.7733 0.0000
Cr 0.5000 0.5000 0.0000
Cl 0.2500 0.7500 0.5000
Cl 0.3969 0.3969 0.0000
Cl 0.6031 0.6031 0.0000
Cl 0.7500 0.2500 0.5000


Stability order, top to bottom: ii, i


i:
! BaY2F8, optimized geometry, DFT PBE; values from VASP
! Crystal system   monoclinic
&SYSTEM
  ibrav = 0, nat = 11, ntyp = 3
/
ATOMIC_SPECIES
Ba 137.33 Ba.upf
Y 88.91 Y.upf
F 19.00 F.upf
CELL_PARAMETERS angstrom
3.5402 -5.3237 0.0000
3.5402 5.3237 0.0000
-0.7113 0.0000 4.2753
ATOMIC_POSITIONS crystal
Ba 0.0000 0.0000 0.0000
Y 0.3258 0.6742 0.5000
Y 0.6742 0.3258 0.5000
F 0.0491 0.3274 0.5640
F 0.2578 0.7422 0.0000
F 0.3274 0.0491 0.5640
F 0.3912 0.3912 0.2254
F 0.6088 0.6088 0.7746
F 0.6726 0.9509 0.4360
F 0.7422 0.2578 0.0000
F 0.9509 0.6726 0.4360


ii:
! BaY2F8, optimized geometry, DFT PBE; values from VASP
! Total magnetic moment   0.00 μB/f.u.
! Crystal system   tetragonal
&SYSTEM
  ibrav = 0, nat = 11, ntyp = 3
/
ATOMIC_SPECIES
Ba 137.33 Ba.upf
Y 88.91 Y.upf
F 19.00 F.upf
CELL_PARAMETERS angstrom
-2.7131 2.7131 6.7827
2.7131 -2.7131 6.7827
2.7131 2.7131 -6.7827
ATOMIC_POSITIONS crystal
Ba 0.0000 0.0000 0.0000
Y 0.3139 0.3139 0.0000
Y 0.6861 0.6861 0.0000
F 0.0036 0.5919 0.9816
F 0.2387 0.1919 0.5942
F 0.3556 0.7613 0.9532
F 0.4081 0.3897 0.4117
F 0.5977 0.6444 0.4058
F 0.6103 0.0220 0.0184
F 0.8081 0.4023 0.0468
F 0.9780 0.9964 0.5883


Stability order, top to bottom: i, ii


i:
! CaRhN2, optimized geometry, DFT PBE; values from VASP
! Total magnetic moment   0.02 μB/f.u.
! Crystal system   trigonal
&SYSTEM
  ibrav = 0, nat = 4, ntyp = 3
/
ATOMIC_SPECIES
Ca 40.08 Ca.upf
Rh 102.91 Rh.upf
N 14.01 N.upf
CELL_PARAMETERS angstrom
1.6317 0.9420 5.0643
-1.6317 0.9420 5.0643
0.0000 -1.8841 5.0643
ATOMIC_POSITIONS crystal
Ca 0.0000 0.0000 0.0000
Rh 0.5000 0.5000 0.5000
N 0.2332 0.2332 0.2332
N 0.7668 0.7668 0.7668


ii:
! CaRhN2, optimized geometry, DFT PBE; values from VASP
! Total magnetic moment   0.00 μB/f.u.
! Crystal system   orthorhombic
&SYSTEM
  ibrav = 0, nat = 64, ntyp = 3
/
ATOMIC_SPECIES
Ca 40.08 Ca.upf
Rh 102.91 Rh.upf
N 14.01 N.upf
CELL_PARAMETERS angstrom
5.0592 0.0000 0.0000
0.0000 10.1334 0.0000
0.0000 0.0000 17.2229
ATOMIC_POSITIONS crystal
Ca 0.2427 0.0075 0.0623
Ca 0.2427 0.4925 0.5623
Ca 0.2484 0.7458 0.6878
Ca 0.2484 0.7542 0.1878
Ca 0.2516 0.2458 0.6878
Ca 0.2516 0.2542 0.1878
Ca 0.2573 0.5075 0.0623
Ca 0.2573 0.9925 0.5623
Ca 0.7427 0.0075 0.4377
Ca 0.7427 0.4925 0.9377
Ca 0.7484 0.7458 0.8122
Ca 0.7484 0.7542 0.3122
Ca 0.7516 0.2458 0.8122
Ca 0.7516 0.2542 0.3122
Ca 0.7573 0.5075 0.4377
Ca 0.7573 0.9925 0.9377
Rh 0.1906 0.5241 0.8113
Rh 0.1906 0.9759 0.3113
Rh 0.1916 0.2213 0.4348
Rh 0.1916 0.2787 0.9348
Rh 0.3084 0.7213 0.4348
Rh 0.3084 0.7787 0.9348
Rh 0.3094 0.0241 0.8113
Rh 0.3094 0.4759 0.3113
Rh 0.6906 0.5241 0.6887
Rh 0.6906 0.9759 0.1887
Rh 0.6916 0.2213 0.0652
Rh 0.6916 0.2787 0.5652
Rh 0.8084 0.7213 0.0652
Rh 0.8084 0.7787 0.5652
Rh 0.8094 0.0241 0.6887
Rh 0.8094 0.4759 0.1887
N 0.1798 0.7488 0.5451
N 0.1798 0.7512 0.0451
N 0.1914 0.5104 0.2038
N 0.1914 0.9896 0.7038
N 0.2236 0.7163 0.8297
N 0.2236 0.7837 0.3297
N 0.2490 0.0324 0.4217
N 0.2490 0.4676 0.9217
N 0.2510 0.5324 0.4217
N 0.2510 0.9676 0.9217
N 0.2764 0.2163 0.8297
N 0.2764 0.2837 0.3297
N 0.3086 0.0104 0.2038
N 0.3086 0.4896 0.7038
N 0.3202 0.2488 0.5451
N 0.3202 0.2512 0.0451
N 0.6798 0.7488 0.9549
N 0.6798 0.7512 0.4549
N 0.6914 0.5104 0.2962
N 0.6914 0.9896 0.7962
N 0.7236 0.7163 0.6703
N 0.7236 0.7837 0.1703
N 0.7490 0.0324 0.0783
N 0.7490 0.4676 0.5783
N 0.7510 0.5324 0.0783
N 0.7510 0.9676 0.5783
N 0.7764 0.2163 0.6703
N 0.7764 0.2837 0.1703
N 0.8086 0.0104 0.2962
N 0.8086 0.4896 0.7962
N 0.8202 0.2488 0.9549
N 0.8202 0.2512 0.4549


Stability order, top to bottom: i, ii


i:
! MgHgSb2O6, optimized geometry, DFT PBE; values from VASP
! Total magnetic moment   0.00 μB/f.u.
! Crystal system   trigonal
&SYSTEM
  ibrav = 0, nat = 10, ntyp = 4
/
ATOMIC_SPECIES
Mg 24.30 Mg.upf
Hg 200.59 Hg.upf
Sb 121.76 Sb.upf
O 16.00 O.upf
CELL_PARAMETERS angstrom
5.4523 0.0000 0.0000
-2.7261 4.7218 0.0000
0.0000 0.0000 7.1624
ATOMIC_POSITIONS crystal
Mg 0.0000 0.0000 0.0000
Hg 0.0000 0.0000 0.5000
Sb 0.3333 0.6667 0.0000
Sb 0.6667 0.3333 0.0000
O 0.0000 0.3475 0.8597
O 0.0000 0.6525 0.1403
O 0.3475 0.0000 0.8597
O 0.3475 0.3475 0.1403
O 0.6525 0.0000 0.1403
O 0.6525 0.6525 0.8597


ii:
! MgHgSb2O6, optimized geometry, DFT PBE; values from VASP
! Total magnetic moment   0.00 μB/f.u.
! Crystal system   monoclinic
&SYSTEM
  ibrav = 0, nat = 10, ntyp = 4
/
ATOMIC_SPECIES
Mg 24.30 Mg.upf
Hg 200.59 Hg.upf
Sb 121.76 Sb.upf
O 16.00 O.upf
CELL_PARAMETERS angstrom
2.8063 -4.8322 0.0000
2.8063 4.8322 0.0000
-0.0325 0.0000 5.3755
ATOMIC_POSITIONS crystal
Mg 0.0000 0.0000 0.0000
Hg 0.3339 0.6661 0.0000
Sb 0.0016 0.9984 0.5000
Sb 0.6682 0.3318 0.5000
O 0.2923 0.2729 0.7358
O 0.2932 0.0153 0.2659
O 0.7265 0.0176 0.7322
O 0.7271 0.7077 0.2642
O 0.9824 0.2735 0.2678
O 0.9847 0.7068 0.7341


Stability order, top to bottom: i, ii


i:
! ZrCrCuS4, optimized geometry, DFT PBE; values from VASP
! Total magnetic moment   3.00 μB/f.u.
! Crystal system   triclinic
&SYSTEM
  ibrav = 0, nat = 28, ntyp = 4
/
ATOMIC_SPECIES
Zr 91.22 Zr.upf
Cr 52.00 Cr.upf
Cu 63.55 Cu.upf
S 32.06 S.upf
CELL_PARAMETERS angstrom
6.4707 0.0000 0.0000
0.0175 7.4313 0.0000
1.1679 1.9327 12.3551
ATOMIC_POSITIONS crystal
Zr 0.1376 0.2014 0.1979
Zr 0.2428 0.3788 0.5014
Zr 0.7572 0.6212 0.4986
Zr 0.8624 0.7986 0.8021
Cr 0.3649 0.5422 0.8009
Cr 0.3669 0.0599 0.7954
Cr 0.6331 0.9401 0.2046
Cr 0.6351 0.4578 0.1991
Cu 0.1245 0.6996 0.1991
Cu 0.2582 0.8741 0.4973
Cu 0.7418 0.1259 0.5027
Cu 0.8755 0.3004 0.8009
S 0.0983 0.1411 0.3947
S 0.1057 0.6545 0.3871
S 0.1914 0.2801 0.8634
S 0.2097 0.7859 0.8704
S 0.3214 0.4826 0.1268
S 0.3249 0.9518 0.1311
S 0.3982 0.6022 0.6141
S 0.4016 0.0912 0.6148
S 0.5984 0.9088 0.3852
S 0.6018 0.3978 0.3859
S 0.6751 0.0482 0.8689
S 0.6786 0.5174 0.8732
S 0.7903 0.2141 0.1296
S 0.8086 0.7199 0.1366
S 0.8943 0.3455 0.6129
S 0.9017 0.8589 0.6053


ii:
! ZrCrCuS4, optimized geometry, DFT PBE; values from VASP
! Total magnetic moment   3.00 μB/f.u.
! Crystal system   monoclinic
&SYSTEM
  ibrav = 0, nat = 28, ntyp = 4
/
ATOMIC_SPECIES
Zr 91.22 Zr.upf
Cr 52.00 Cr.upf
Cu 63.55 Cu.upf
S 32.06 S.upf
CELL_PARAMETERS angstrom
11.5866 0.0000 0.0000
0.0000 3.5565 0.0000
-0.0842 0.0000 13.0700
ATOMIC_POSITIONS crystal
Zr 0.0000 0.0000 0.0000
Zr 0.0394 0.0000 0.4097
Zr 0.3152 0.5000 0.6818
Zr 0.4934 0.0000 0.1823
Cr 0.2610 0.5000 0.2795
Cr 0.5463 0.0000 0.7804
Cr 0.7656 0.5000 0.8988
Cr 0.8013 0.5000 0.5048
Cu 0.0488 0.5000 0.8191
Cu 0.2541 0.0000 0.8603
Cu 0.5608 0.5000 0.3603
Cu 0.7222 0.0000 0.3080
S 0.1343 0.0000 0.2249
S 0.1550 0.0000 0.7079
S 0.1573 0.5000 0.9670
S 0.1883 0.5000 0.4571
S 0.3601 0.5000 0.1166
S 0.3979 0.0000 0.3486
S 0.4118 0.5000 0.8493
S 0.4445 0.0000 0.6137
S 0.6392 0.0000 0.9448
S 0.6529 0.5000 0.1995
S 0.6621 0.0000 0.4717
S 0.6721 0.5000 0.7344
S 0.8703 0.5000 0.0673
S 0.8943 0.5000 0.3440
S 0.9004 0.0000 0.8323
S 0.9179 0.0000 0.5686


Stability order, top to bottom: ii, i


i:
! LiTi2O4, optimized geometry, DFT PBE; values from VASP
! Total magnetic moment   0.07 μB/f.u.
! Crystal system   orthorhombic
&SYSTEM
  ibrav = 0, nat = 14, ntyp = 3
/
ATOMIC_SPECIES
Li 6.94 Li.upf
Ti 47.87 Ti.upf
O 16.00 O.upf
CELL_PARAMETERS angstrom
-2.9712 2.9989 4.2075
2.9712 -2.9989 4.2075
2.9712 2.9989 -4.2075
ATOMIC_POSITIONS crystal
Li 0.5000 0.0000 0.0000
Li 0.5000 0.5000 0.5000
Ti 0.0000 0.0000 0.0000
Ti 0.0000 0.0000 0.5000
Ti 0.0000 0.5000 0.0000
Ti 0.5000 0.0000 0.5000
O 0.2199 0.2372 0.9827
O 0.2398 0.2116 0.4718
O 0.2398 0.7680 0.0282
O 0.2454 0.7628 0.4827
O 0.7546 0.2372 0.5173
O 0.7602 0.2320 0.9718
O 0.7602 0.7884 0.5282
O 0.7801 0.7628 0.0173


ii:
! LiTi2O4, optimized geometry, DFT PBE; values from VASP
! Total magnetic moment   1.00 μB/f.u.
! Crystal system   triclinic
&SYSTEM
  ibrav = 0, nat = 63, ntyp = 3
/
ATOMIC_SPECIES
Li 6.94 Li.upf
Ti 47.87 Ti.upf
O 16.00 O.upf
CELL_PARAMETERS angstrom
8.9050 0.0000 0.0000
4.4502 7.7487 0.0000
0.0126 0.0402 10.4519
ATOMIC_POSITIONS crystal
Li 0.0000 0.0000 0.0000
Li 0.9996 0.4918 0.0444
Li 0.2276 0.7143 0.5047
Li 0.3333 0.1594 0.0468
Li 0.3869 0.5553 0.0247
Li 0.5657 0.8691 0.5500
Li 0.5683 0.2199 0.5404
Li 0.6682 0.8312 0.0496
Li 0.8966 0.3762 0.5043
Ti 0.1175 0.7689 0.7803
Ti 0.1184 0.1032 0.7620
Ti 0.1191 0.2697 0.2808
Ti 0.1208 0.6016 0.2701
Ti 0.1221 0.9394 0.2761
Ti 0.1249 0.4372 0.7621
Ti 0.4445 0.9392 0.2787
Ti 0.4446 0.2776 0.2679
Ti 0.4479 0.7714 0.7858
Ti 0.4502 0.4364 0.7680
Ti 0.4512 0.1051 0.7765
Ti 0.4561 0.6050 0.2824
Ti 0.7775 0.4371 0.7862
Ti 0.7824 0.6080 0.2803
Ti 0.7829 0.2722 0.2561
Ti 0.7843 0.1033 0.7708
Ti 0.7900 0.7686 0.7708
Ti 0.7903 0.9342 0.2793
O 0.0042 0.4893 0.3763
O 0.0080 0.6627 0.6746
O 0.0090 0.9890 0.6750
O 0.0118 0.8228 0.3734
O 0.2191 0.8898 0.8789
O 0.2221 0.3787 0.1608
O 0.2292 0.2162 0.8721
O 0.2300 0.0542 0.1716
O 0.2313 0.5465 0.8769
O 0.2340 0.7130 0.1733
O 0.3372 0.6636 0.6756
O 0.3385 0.8215 0.3839
O 0.3401 0.4956 0.3775
O 0.3425 0.1610 0.3732
O 0.3484 0.3178 0.6654
O 0.3495 0.9858 0.6755
O 0.5524 0.3931 0.1693
O 0.5537 0.5479 0.8811
O 0.5581 0.0443 0.1703
O 0.5610 0.2159 0.8694
O 0.5640 0.7207 0.1771
O 0.5650 0.8834 0.8800
O 0.6662 0.9944 0.6656
O 0.6691 0.6634 0.6802
O 0.6696 0.1633 0.3654
O 0.6706 0.8287 0.3796
O 0.6739 0.3244 0.6697
O 0.6824 0.4828 0.3742
O 0.8889 0.7142 0.1675
O 0.8955 0.8850 0.8775
O 0.8981 0.3880 0.1719
O 0.8994 0.0447 0.1709
O 0.8990 0.5482 0.8738
O 0.9002 0.2073 0.8732
O 0.9988 0.1659 0.3706
O 0.9989 0.3308 0.6746


Stability order, top to bottom: i, ii


i:
! MgTe4Mo2W2S4, optimized geometry, DFT PBE; values from VASP
! Total magnetic moment   0.01 μB/f.u.
! Crystal system   trigonal
&SYSTEM
  ibrav = 0, nat = 13, ntyp = 5
/
ATOMIC_SPECIES
Mg 24.30 Mg.upf
Te 127.60 Te.upf
Mo 95.94 Mo.upf
W 183.84 W.upf
S 32.06 S.upf
CELL_PARAMETERS angstrom
3.3978 0.0000 0.0000
-1.6989 2.9426 0.0000
0.0000 0.0000 38.3286
ATOMIC_POSITIONS crystal
Mg 0.0000 0.0000 0.0000
Te 0.3333 0.6667 0.2332
Te 0.3333 0.6667 0.3316
Te 0.6667 0.3333 0.6696
Te 0.6667 0.3333 0.7679
Mo 0.3333 0.6667 0.0955
Mo 0.6667 0.3333 0.9055
W 0.3333 0.6667 0.7187
W 0.6667 0.3333 0.2824
S 0.3333 0.6667 0.8671
S 0.3333 0.6667 0.9471
S 0.6667 0.3333 0.0542
S 0.6667 0.3333 0.1340


ii:
! MgTe4Mo2W2S4, optimized geometry, DFT PBE; values from VASP
! Total magnetic moment   0.05 μB/f.u.
! Crystal system   monoclinic
&SYSTEM
  ibrav = 0, nat = 13, ntyp = 5
/
ATOMIC_SPECIES
Mg 24.30 Mg.upf
Te 127.60 Te.upf
Mo 95.94 Mo.upf
W 183.84 W.upf
S 32.06 S.upf
CELL_PARAMETERS angstrom
2.9212 -1.6868 0.0000
2.9212 1.6868 0.0000
-0.0502 0.0000 42.3297
ATOMIC_POSITIONS crystal
Mg 0.0000 0.0000 0.0000
Te 0.3310 0.3310 0.2425
Te 0.3319 0.3319 0.3320
Te 0.9976 0.9976 0.6789
Te 0.9986 0.9986 0.7680
Mo 0.3314 0.3314 0.7235
Mo 0.9992 0.9992 0.9062
W 0.3317 0.3317 0.1029
W 0.9981 0.9981 0.2872
S 0.3324 0.3324 0.9423
S 0.3325 0.3325 0.8709
S 0.9981 0.9981 0.0672
S 0.9987 0.9987 0.1384


Stability order, top to bottom: ii, i